The following is a DFT calculation (PBE) of a geometry-optimized CdH8C2S2N4Cl2 structure.

Raw total energy ... -99.12 eV per formula unit
ΔH_f (0 K) ... -0.501 eV per atom

a = 13.2178 Å, b = 6.1370 Å, c = 7.2392 Å
α = 90.00°, β = 90.00°, γ = 90.00°
Space group Pmn2_1 (No. 31)
One atom of each set of equivalent atoms:
Cd 0.0000 0.2208 0.0000
H 0.0899 0.8861 0.5763
H 0.1263 0.6112 0.5844
H 0.1633 0.8999 0.0853
H 0.2067 0.1521 0.5626
C 0.2429 0.8307 0.5849
S 0.1681 0.3718 0.1131
N 0.1454 0.7708 0.5760
N 0.2359 0.9576 0.0742
Cl 0.0000 0.2420 0.6423
Cl 0.0000 0.8172 0.0817